Entry 1:
Density functional theory data (PBE-GGA) for SnPd3C after structural relaxation.

a = 4.253 Å, b = 4.253 Å, c = 4.253 Å
α = 90.00°, β = 90.00°, γ = 90.00°
Positions (direct):
Sn1 0.000 0.000 0.000
Pd1 0.000 0.500 0.500
Pd2 0.500 0.000 0.500
Pd3 0.500 0.500 0.000
C1 0.500 0.500 0.500

ΔH_f (0 K) (eV/atom): 0.120
E (Ha/atom): -0.20711


Entry 2:
Density functional theory data (PBE-GGA) for GdAl2Si2 after structural relaxation.

a = 4.204 Å, b = 4.204 Å, c = 6.617 Å
α = 90.00°, β = 90.00°, γ = 120.00°
Positions (direct):
Gd1 0.000 0.000 0.000
Al1 0.333 0.667 0.357
Al2 0.667 0.333 0.643
Si1 0.333 0.667 0.740
Si2 0.667 0.333 0.260

ΔH_f (0 K) (eV/atom): -0.364
E (Ha/atom): -0.25269


Entry 3:
Density functional theory data (PBE-GGA) for LuAgTe2 after structural relaxation.

a = 4.434 Å, b = 4.434 Å, c = 7.386 Å
α = 90.00°, β = 90.00°, γ = 120.00°
Positions (direct):
Lu1 0.000 0.000 0.000
Ag1 0.333 0.667 0.410
Te1 0.333 0.667 0.785
Te2 0.667 0.333 0.239

ΔH_f (0 K) (eV/atom): -1.058
E (Ha/atom): -0.15645


Entry 4:
Density functional theory data (PBE-GGA) for Be3Ni after structural relaxation.

a = 4.592 Å, b = 4.592 Å, c = 3.702 Å
α = 90.00°, β = 90.00°, γ = 120.00°
Positions (direct):
Be1 0.166 0.332 0.250
Be2 0.166 0.834 0.250
Be3 0.332 0.166 0.750
Be4 0.668 0.834 0.250
Be5 0.834 0.166 0.750
Be6 0.834 0.668 0.750
Ni1 0.333 0.667 0.750
Ni2 0.667 0.333 0.250

ΔH_f (0 K) (eV/atom): -0.281
E above lowest polymorph (eV/atom): 0.003
E (Ha/atom): -0.16648


Entry 5:
Density functional theory data (PBE-GGA) for Al45Cr7 after structural relaxation.

a = 10.971 Å, b = 10.971 Å, c = 10.928 Å
α = 106.26°, β = 106.26°, γ = 40.31°
Positions (direct):
Al1 0.000 0.000 0.000
Al2 0.019 0.394 0.634
Al3 0.022 0.022 0.256
Al4 0.028 0.642 0.645
Al5 0.113 0.748 0.510
Al6 0.115 0.115 0.729
Al7 0.125 0.495 0.881
Al8 0.126 0.126 0.134
Al9 0.131 0.505 0.145
Al10 0.208 0.208 0.986
Al11 0.252 0.887 0.490
Al12 0.258 0.651 0.878
Al13 0.276 0.276 0.509
Al14 0.276 0.653 0.295
Al15 0.347 0.724 0.705
Al16 0.349 0.742 0.122
Al17 0.358 0.972 0.355
Al18 0.372 0.372 0.388
Al19 0.394 0.019 0.634
Al20 0.410 0.410 0.657
Al21 0.419 0.419 0.060
Al22 0.495 0.125 0.881
Al23 0.495 0.869 0.855
Al24 0.505 0.131 0.145
Al25 0.505 0.875 0.119
Al26 0.581 0.581 0.940
Al27 0.590 0.590 0.343
Al28 0.606 0.981 0.366
Al29 0.628 0.628 0.612
Al30 0.642 0.028 0.645
Al31 0.651 0.258 0.878
Al32 0.653 0.276 0.295
Al33 0.724 0.347 0.705
Al34 0.724 0.724 0.491
Al35 0.742 0.349 0.122
Al36 0.748 0.113 0.510
Al37 0.792 0.792 0.014
Al38 0.869 0.495 0.855
Al39 0.874 0.874 0.866
Al40 0.875 0.505 0.119
Al41 0.885 0.885 0.271
Al42 0.887 0.252 0.490
Al43 0.972 0.358 0.355
Al44 0.978 0.978 0.744
Al45 0.981 0.606 0.366
Cr1 0.090 0.740 0.082
Cr2 0.250 0.250 0.262
Cr3 0.260 0.910 0.918
Cr4 0.500 0.500 0.500
Cr5 0.740 0.090 0.082
Cr6 0.750 0.750 0.738
Cr7 0.910 0.260 0.918

ΔH_f (0 K) (eV/atom): -0.117
E (Ha/atom): -0.17116


Entry 6:
Density functional theory data (PBE-GGA) for HoErAg2 after structural relaxation.

a = 5.119 Å, b = 5.119 Å, c = 5.119 Å
α = 60.00°, β = 60.00°, γ = 60.00°
Positions (direct):
Ho1 0.000 0.000 0.000
Er1 0.500 0.500 0.500
Ag1 0.250 0.250 0.250
Ag2 0.750 0.750 0.750

ΔH_f (0 K) (eV/atom): -0.337
E (Ha/atom): -0.14851